A relaxed TmSi2Ni crystal. Source: Materials Project, functional GGA-PBE.

a b c (Å): 3.923 3.926 8.485
angles (deg): 90.00 103.37 90.00
Element x y z (fractional)
Ni  0.176  0.250  0.351
Ni  0.824  0.750  0.649
Tm  0.394  0.250  0.789
Tm  0.606  0.750  0.211
Si  0.960  0.750  0.921
Si  0.751  0.250  0.502
Si  0.040  0.250  0.079
Si  0.249  0.750  0.498

Results
Energy of formation, eV/f.u.: -3.26
Total DFT energy (no corrections), eV per atom: -6.092
Calculated density, Mg/m³: 7.41

A relaxed TmSi2Ni2 crystal. Source: Materials Project, functional GGA-PBE.

a b c (Å): 3.934 3.934 5.495
angles (deg): 110.98 110.98 90.00
Element x y z (fractional)
Si  0.625  0.625  0.251
Si  0.375  0.375  0.749
Tm  0.000  0.000  0.000
Ni  0.250  0.750  0.500
Ni  0.750  0.250  0.500

Results
Energy of formation, eV/f.u.: -4.26
Total DFT energy (no corrections), eV per atom: -6.230
Calculated density, Mg/m³: 7.75

A relaxed TmSi3Ni5 crystal. Source: Materials Project, functional GGA-PBE.

a b c (Å): 3.746 18.573 6.647
angles (deg): 90.00 90.00 90.00
Element x y z (fractional)
Ni  0.250  0.486  0.618
Ni  0.250  0.005  0.368
Ni  0.750  0.794  0.930
Ni  0.750  0.614  0.642
Ni  0.750  0.114  0.858
Ni  0.750  0.300  0.183
Ni  0.250  0.200  0.683
Ni  0.250  0.386  0.358
Ni  0.250  0.206  0.070
Ni  0.250  0.505  0.132
Ni  0.750  0.514  0.382
Ni  0.250  0.986  0.882
Ni  0.750  0.495  0.868
Ni  0.750  0.014  0.118
Ni  0.250  0.886  0.142
Ni  0.750  0.294  0.570
Ni  0.750  0.800  0.317
Ni  0.750  0.995  0.632
Ni  0.250  0.700  0.817
Ni  0.250  0.706  0.430
Si  0.750  0.415  0.588
Si  0.250  0.762  0.122
Si  0.250  0.575  0.848
Si  0.250  0.075  0.652
Si  0.750  0.915  0.912
Si  0.250  0.585  0.412
Si  0.750  0.425  0.152
Si  0.750  0.238  0.878
Si  0.750  0.738  0.622
Si  0.250  0.085  0.088
Si  0.250  0.262  0.378
Si  0.750  0.925  0.348
Tm  0.750  0.644  0.123
Tm  0.750  0.144  0.377
Tm  0.250  0.356  0.877
Tm  0.250  0.856  0.623

Results
Energy of formation, eV/f.u.: -6.48
Total DFT energy (no corrections), eV per atom: -6.237
Calculated density, Mg/m³: 7.85

A relaxed Tm3Si3Ni crystal. Source: Materials Project, functional GGA-PBE.

a b c (Å): 5.512 5.512 13.348
angles (deg): 70.95 70.95 44.05
Element x y z (fractional)
Tm  0.603  0.603  0.078
Tm  0.256  0.256  0.228
Tm  0.744  0.744  0.772
Tm  0.472  0.472  0.380
Tm  0.397  0.397  0.922
Tm  0.528  0.528  0.620
Si  0.042  0.042  0.765
Si  0.113  0.113  0.924
Si  0.958  0.958  0.235
Si  0.136  0.136  0.456
Si  0.864  0.864  0.544
Si  0.887  0.887  0.076
Ni  0.245  0.245  0.596
Ni  0.755  0.755  0.404

Results
Energy of formation, eV/f.u.: -5.82
Total DFT energy (no corrections), eV per atom: -5.900
Calculated density, Mg/m³: 8.18

A relaxed USi2Ni10 crystal. Source: Materials Project, functional GGA-PBE.

a b c (Å): 6.173 6.173 6.173
angles (deg): 134.28 100.95 96.42
Element x y z (fractional)
Ni  0.820  0.500  0.320
Ni  0.180  0.500  0.680
Ni  0.660  0.000  0.660
Ni  0.500  0.500  0.500
Ni  0.500  0.000  0.000
Ni  0.000  0.500  0.000
Ni  0.340  0.000  0.340
Ni  0.353  0.353  0.000
Ni  0.000  0.000  0.500
Ni  0.647  0.647  0.000
U  0.000  0.000  0.000
Si  0.251  0.751  0.500
Si  0.749  0.249  0.500

Results
Energy of formation, eV/f.u.: -4.60
Total DFT energy (no corrections), eV per atom: -6.503
Calculated density, Mg/m³: 9.44

A relaxed U2Si6Ni3 crystal. Source: Materials Project, functional GGA-PBE.

a b c (Å): 10.720 10.720 3.974
angles (deg): 90.00 90.00 158.62
Element x y z (fractional)
Si  0.440  0.560  0.000
Si  0.940  0.060  0.500
Si  0.060  0.940  0.500
Si  0.721  0.279  0.500
Si  0.279  0.721  0.500
Si  0.560  0.440  0.000
U  0.828  0.172  0.000
U  0.172  0.828  0.000
Ni  0.000  0.000  0.000
Ni  0.614  0.386  0.500
Ni  0.386  0.614  0.500

Results
Energy of formation, eV/f.u.: -5.61
Total DFT energy (no corrections), eV per atom: -7.098
Calculated density, Mg/m³: 8.18